VASP calculation (PBE with a Hubbard U) on a relaxed structure of CoO2.

Lattice parameters (Å, degrees): 9.880 5.669 18.779 90.00 100.68 90.00
Space group Cm (No. 8)
Unique sites:
Co 0.000 0.000 0.000 (multiplicity 2)
Co 0.000 0.500 0.496 (multiplicity 2)
Co 0.025 0.251 0.842 (multiplicity 4)
Co 0.029 0.242 0.342 (multiplicity 4)
Co 0.054 0.500 0.685 (multiplicity 2)
Co 0.151 0.000 0.465 (multiplicity 2)
Co 0.247 0.500 0.246 (multiplicity 2)
Co 0.251 0.000 0.752 (multiplicity 2)
Co 0.274 0.249 0.090 (multiplicity 4)
Co 0.280 0.255 0.595 (multiplicity 4)
Co 0.300 0.000 0.932 (multiplicity 2)
Co 0.399 0.000 0.213 (multiplicity 2)
O 0.077 0.500 0.281 (multiplicity 2)
O 0.080 0.000 0.291 (multiplicity 2)
O 0.081 0.000 0.787 (multiplicity 2)
O 0.081 0.500 0.788 (multiplicity 2)
O 0.101 0.243 0.034 (multiplicity 4)
O 0.113 0.245 0.529 (multiplicity 4)
O 0.191 0.225 0.404 (multiplicity 4)
O 0.199 0.242 0.899 (multiplicity 4)
O 0.218 0.500 0.649 (multiplicity 2)
O 0.222 0.500 0.147 (multiplicity 2)
O 0.227 0.000 0.650 (multiplicity 2)
O 0.229 0.000 0.148 (multiplicity 2)
O 0.329 0.000 0.032 (multiplicity 2)
O 0.329 0.000 0.533 (multiplicity 2)
O 0.336 0.500 0.040 (multiplicity 2)
O 0.338 0.500 0.546 (multiplicity 2)
O 0.352 0.242 0.786 (multiplicity 4)
O 0.358 0.242 0.276 (multiplicity 4)
O 0.439 0.223 0.152 (multiplicity 4)
O 0.454 0.242 0.652 (multiplicity 4)
O 0.471 0.000 0.899 (multiplicity 2)
O 0.471 0.500 0.898 (multiplicity 2)
O 0.475 0.000 0.397 (multiplicity 2)
O 0.479 0.500 0.401 (multiplicity 2)

Output
- total energy (eV/cell) = -534.10
- energy of formation from the pure elements (eV per atom) = -0.900